#P
Compound: Y2MgSe4
Source: the Materials Project
Functional: PBE
Structure: relaxed

CIF file:
```
data_Y2MgSe4
_chemical_formula_sum 'Y8 Mg4 Se16'
_symmetry_space_group_name_H-M 'P 1'
_symmetry_Int_Tables_number 1
_symmetry_space_group_name_Hall 'P 1'
_cell_length_a 7.4877
_cell_length_b 8.6779
_cell_length_c 13.8705
_cell_angle_alpha 80.83
_cell_angle_beta 84.60
_cell_angle_gamma 89.98
loop_
_atom_site_label
_atom_site_type_symbol
_atom_site_fract_x
_atom_site_fract_y
_atom_site_fract_z
_atom_site_occupancy
Y1 Y 0.1315 0.4442 0.2008 1
Y2 Y 0.1322 0.9557 0.1976 1
Y3 Y 0.2587 0.1260 0.4994 1
Y4 Y 0.3638 0.3004 0.8005 1
Y5 Y 0.6362 0.6996 0.1995 1
Y6 Y 0.7413 0.8740 0.5006 1
Y7 Y 0.8678 0.0443 0.8024 1
Y8 Y 0.8685 0.5558 0.7992 1
Mg1 Mg 0.2513 0.6234 0.5031 1
Mg2 Mg 0.3671 0.8005 0.7978 1
Mg3 Mg 0.6329 0.1995 0.2022 1
Mg4 Mg 0.7487 0.3766 0.4969 1
Se1 Se 0.0959 0.4069 0.3988 1
Se2 Se 0.1050 0.8955 0.3964 1
Se3 Se 0.1940 0.5423 0.8737 1
Se4 Se 0.1955 0.0207 0.8744 1
Se5 Se 0.3107 0.7190 0.1222 1
Se6 Se 0.3286 0.2192 0.1251 1
Se7 Se 0.3925 0.8431 0.6092 1
Se8 Se 0.4056 0.3553 0.6022 1
Se9 Se 0.5944 0.6447 0.3978 1
Se10 Se 0.6075 0.1569 0.3908 1
Se11 Se 0.6714 0.7808 0.8749 1
Se12 Se 0.6893 0.2810 0.8778 1
Se13 Se 0.8045 0.9793 0.1256 1
Se14 Se 0.8060 0.4577 0.1263 1
Se15 Se 0.8950 0.1045 0.6036 1
Se16 Se 0.9041 0.5931 0.6012 1
```

Calculated values
For the size of the total moment, the calculation gives 0.00 μB per formula unit.

#Q
Compound: Y2MgSe4
Source: the Materials Project
Functional: PBE
Structure: relaxed

CIF file:
```
data_Y2MgSe4
_chemical_formula_sum 'Y16 Mg8 Se32'
_symmetry_space_group_name_H-M 'P 1'
_symmetry_Int_Tables_number 1
_symmetry_space_group_name_Hall 'P 1'
_cell_length_a 13.2345
_cell_length_b 7.9076
_cell_length_c 13.4384
_cell_angle_alpha 90.00
_cell_angle_beta 90.00
_cell_angle_gamma 90.00
loop_
_atom_site_label
_atom_site_type_symbol
_atom_site_fract_x
_atom_site_fract_y
_atom_site_fract_z
_atom_site_occupancy
Y1 Y 0.1076 0.1183 0.0000 1
Y2 Y 0.1277 0.6196 0.6412 1
Y3 Y 0.1331 0.3722 0.3044 1
Y4 Y 0.1334 0.8716 0.3054 1
Y5 Y 0.3669 0.3722 0.8044 1
Y6 Y 0.3666 0.8716 0.8054 1
Y7 Y 0.3723 0.6196 0.1412 1
Y8 Y 0.3923 0.1183 0.5000 1
Y9 Y 0.6076 0.8817 0.0000 1
Y10 Y 0.6277 0.3804 0.6412 1
Y11 Y 0.6334 0.1284 0.3054 1
Y12 Y 0.6331 0.6278 0.3044 1
Y13 Y 0.8666 0.1284 0.8054 1
Y14 Y 0.8669 0.6278 0.8044 1
Y15 Y 0.8723 0.3804 0.1412 1
Y16 Y 0.8924 0.8817 0.5000 1
Mg1 Mg 0.1102 0.6197 0.0047 1
Mg2 Mg 0.1267 0.1228 0.6350 1
Mg3 Mg 0.3733 0.1228 0.1350 1
Mg4 Mg 0.3898 0.6197 0.5047 1
Mg5 Mg 0.6102 0.3803 0.0047 1
Mg6 Mg 0.6267 0.8772 0.6350 1
Mg7 Mg 0.8733 0.8772 0.1350 1
Mg8 Mg 0.8898 0.3803 0.5047 1
Se1 Se 0.0124 0.1223 0.1922 1
Se2 Se 0.0213 0.6269 0.1830 1
Se3 Se 0.0340 0.6227 0.4444 1
Se4 Se 0.0426 0.1279 0.4511 1
Se5 Se 0.2116 0.1211 0.8176 1
Se6 Se 0.2123 0.6207 0.8335 1
Se7 Se 0.2304 0.3685 0.0927 1
Se8 Se 0.2313 0.8722 0.0919 1
Se9 Se 0.2687 0.8722 0.5919 1
Se10 Se 0.2696 0.3685 0.5927 1
Se11 Se 0.2884 0.1211 0.3176 1
Se12 Se 0.2877 0.6207 0.3335 1
Se13 Se 0.4574 0.1279 0.9511 1
Se14 Se 0.4660 0.6227 0.9444 1
Se15 Se 0.4787 0.6269 0.6830 1
Se16 Se 0.4876 0.1223 0.6922 1
Se17 Se 0.5124 0.8777 0.1922 1
Se18 Se 0.5213 0.3731 0.1830 1
Se19 Se 0.5340 0.3773 0.4444 1
Se20 Se 0.5426 0.8721 0.4511 1
Se21 Se 0.7123 0.3793 0.8335 1
Se22 Se 0.7116 0.8789 0.8176 1
Se23 Se 0.7304 0.6315 0.0927 1
Se24 Se 0.7313 0.1278 0.0919 1
Se25 Se 0.7687 0.1278 0.5919 1
Se26 Se 0.7696 0.6315 0.5927 1
Se27 Se 0.7877 0.3793 0.3335 1
Se28 Se 0.7884 0.8789 0.3176 1
Se29 Se 0.9574 0.8721 0.9511 1
Se30 Se 0.9660 0.3773 0.9444 1
Se31 Se 0.9787 0.3731 0.6830 1
Se32 Se 0.9876 0.8777 0.6922 1
```

Calculated values
For the size of the total moment, the calculation gives 0.00 μB per formula unit.

In terms of stability, #Q leads; the second structure lies 163 meV per atom higher.

#P
Compound: Mg5Si9
Source: the Materials Project
Functional: PBE
Structure: relaxed

CIF file:
```
data_Mg5Si9
_chemical_formula_sum 'Mg10 Si18'
_symmetry_space_group_name_H-M 'P 1'
_symmetry_Int_Tables_number 1
_symmetry_space_group_name_Hall 'P 1'
_cell_length_a 6.8881
_cell_length_b 7.3050
_cell_length_c 11.8347
_cell_angle_alpha 88.09
_cell_angle_beta 82.75
_cell_angle_gamma 65.21
loop_
_atom_site_label
_atom_site_type_symbol
_atom_site_fract_x
_atom_site_fract_y
_atom_site_fract_z
_atom_site_occupancy
Mg1 Mg 0.0000 0.0000 0.0000 1
Mg2 Mg 0.0236 0.1461 0.7069 1
Mg3 Mg 0.0632 0.7218 0.7804 1
Mg4 Mg 0.1028 0.4716 0.5505 1
Mg5 Mg 0.2759 0.5348 0.0499 1
Mg6 Mg 0.3545 0.8253 0.2080 1
Mg7 Mg 0.5213 0.5058 0.6006 1
Mg8 Mg 0.6911 0.9317 0.6154 1
Mg9 Mg 0.7341 0.9810 0.2441 1
Mg10 Mg 0.9183 0.1803 0.4221 1
Si1 Si 0.0387 0.3876 0.9232 1
Si2 Si 0.0647 0.7452 0.3693 1
Si3 Si 0.1626 0.2549 0.2493 1
Si4 Si 0.1667 0.8452 0.5404 1
Si5 Si 0.2579 0.1578 0.0569 1
Si6 Si 0.3026 0.3014 0.7536 1
Si7 Si 0.3631 0.4228 0.3011 1
Si8 Si 0.4367 0.7059 0.8540 1
Si9 Si 0.4401 0.9233 0.4242 1
Si10 Si 0.5063 0.2143 0.4583 1
Si11 Si 0.5532 0.9135 0.9491 1
Si12 Si 0.6487 0.3454 0.1446 1
Si13 Si 0.6593 0.1266 0.8228 1
Si14 Si 0.6847 0.3908 0.9295 1
Si15 Si 0.7755 0.5743 0.7279 1
Si16 Si 0.7756 0.6245 0.4027 1
Si17 Si 0.8353 0.5226 0.2055 1
Si18 Si 0.8530 0.7153 0.0410 1
```

Calculated values
For the size of the total moment, the calculation gives 0.00 μB per formula unit.

#Q
Compound: Mg5Si9
Source: the Materials Project
Functional: PBE
Structure: relaxed

CIF file:
```
data_Mg5Si9
_chemical_formula_sum 'Mg10 Si18'
_symmetry_space_group_name_H-M 'P 1'
_symmetry_Int_Tables_number 1
_symmetry_space_group_name_Hall 'P 1'
_cell_length_a 7.3904
_cell_length_b 7.4665
_cell_length_c 10.4421
_cell_angle_alpha 80.25
_cell_angle_beta 85.49
_cell_angle_gamma 60.47
loop_
_atom_site_label
_atom_site_type_symbol
_atom_site_fract_x
_atom_site_fract_y
_atom_site_fract_z
_atom_site_occupancy
Mg1 Mg 0.0000 0.0000 0.0000 1
Mg2 Mg 0.0124 0.4039 0.4108 1
Mg3 Mg 0.0587 0.7034 0.6101 1
Mg4 Mg 0.0878 0.3008 0.7955 1
Mg5 Mg 0.3142 0.5707 0.1297 1
Mg6 Mg 0.3505 0.8630 0.4466 1
Mg7 Mg 0.4561 0.1422 0.6060 1
Mg8 Mg 0.4855 0.1847 0.0073 1
Mg9 Mg 0.6973 0.4826 0.9487 1
Mg10 Mg 0.7980 0.7652 0.1667 1
Si1 Si 0.0448 0.3370 0.1298 1
Si2 Si 0.0592 0.5968 0.9488 1
Si3 Si 0.0651 0.8614 0.2836 1
Si4 Si 0.0682 0.0721 0.6236 1
Si5 Si 0.3300 0.5034 0.4082 1
Si6 Si 0.3498 0.9353 0.1725 1
Si7 Si 0.3572 0.7769 0.7405 1
Si8 Si 0.3617 0.4498 0.7877 1
Si9 Si 0.4124 0.8955 0.9281 1
Si10 Si 0.4338 0.1530 0.2946 1
Si11 Si 0.6204 0.5350 0.2855 1
Si12 Si 0.6235 0.4230 0.5488 1
Si13 Si 0.7013 0.6705 0.6495 1
Si14 Si 0.7200 0.2245 0.1841 1
Si15 Si 0.7337 0.8612 0.4334 1
Si16 Si 0.7410 0.8730 0.8352 1
Si17 Si 0.7591 0.1979 0.7714 1
Si18 Si 0.8602 0.1075 0.4369 1
```

Calculated values
For the size of the total moment, the calculation gives 0.00 μB per formula unit.

In terms of stability, #P leads; the second structure lies 42 meV per atom higher.

#P
Compound: ZnSn2O4
Source: the Materials Project
Functional: PBE
Structure: relaxed

CIF file:
```
data_ZnSn2O4
_chemical_formula_sum 'Zn2 Sn4 O8'
_symmetry_space_group_name_H-M 'P 1'
_symmetry_Int_Tables_number 1
_symmetry_space_group_name_Hall 'P 1'
_cell_length_a 7.2327
_cell_length_b 7.2327
_cell_length_c 7.2327
_cell_angle_alpha 53.29
_cell_angle_beta 53.29
_cell_angle_gamma 53.29
loop_
_atom_site_label
_atom_site_type_symbol
_atom_site_fract_x
_atom_site_fract_y
_atom_site_fract_z
_atom_site_occupancy
Zn1 Zn 0.0875 0.0875 0.0875 1
Zn2 Zn 0.9125 0.9125 0.9125 1
Sn1 Sn 0.0000 0.5000 0.5000 1
Sn2 Sn 0.5000 0.0000 0.5000 1
Sn3 Sn 0.5000 0.5000 0.0000 1
Sn4 Sn 0.5000 0.5000 0.5000 1
O1 O 0.2377 0.2377 0.7142 1
O2 O 0.2377 0.7142 0.2377 1
O3 O 0.2762 0.2762 0.2762 1
O4 O 0.2858 0.7623 0.7623 1
O5 O 0.7142 0.2377 0.2377 1
O6 O 0.7238 0.7238 0.7238 1
O7 O 0.7623 0.2858 0.7623 1
O8 O 0.7623 0.7623 0.2858 1
```

Calculated values
For the size of the total moment, the calculation gives 0.00 μB per formula unit.

#Q
Compound: ZnSn2O4
Source: the Materials Project
Functional: PBE
Structure: relaxed

CIF file:
```
data_ZnSn2O4
_chemical_formula_sum 'Zn6 Sn12 O24'
_symmetry_space_group_name_H-M 'P 1'
_symmetry_Int_Tables_number 1
_symmetry_space_group_name_Hall 'P 1'
_cell_length_a 6.5889
_cell_length_b 6.5889
_cell_length_c 16.0766
_cell_angle_alpha 90.54
_cell_angle_beta 90.54
_cell_angle_gamma 60.24
loop_
_atom_site_label
_atom_site_type_symbol
_atom_site_fract_x
_atom_site_fract_y
_atom_site_fract_z
_atom_site_occupancy
Zn1 Zn 0.0000 0.0000 0.0000 1
Zn2 Zn 0.0045 0.0045 0.2329 1
Zn3 Zn 0.3274 0.3274 0.3361 1
Zn4 Zn 0.3335 0.3335 0.9502 1
Zn5 Zn 0.3383 0.3383 0.5684 1
Zn6 Zn 0.6629 0.6629 0.6639 1
Sn1 Sn 0.0081 0.4967 0.1159 1
Sn2 Sn 0.1672 0.6638 0.7838 1
Sn3 Sn 0.1676 0.1676 0.7836 1
Sn4 Sn 0.3315 0.8325 0.4497 1
Sn5 Sn 0.4961 0.4961 0.1158 1
Sn6 Sn 0.4967 0.0081 0.1159 1
Sn7 Sn 0.6638 0.1672 0.7838 1
Sn8 Sn 0.6680 0.6680 0.9020 1
Sn9 Sn 0.6696 0.6696 0.2824 1
Sn10 Sn 0.8325 0.3315 0.4497 1
Sn11 Sn 0.8327 0.8327 0.4502 1
Sn12 Sn 0.9964 0.9964 0.6158 1
O1 O 0.0008 0.0008 0.8572 1
O2 O 0.0162 0.0162 0.3690 1
O3 O 0.0574 0.4699 0.8594 1
O4 O 0.1587 0.1587 0.5232 1
O5 O 0.1800 0.1800 0.0354 1
O6 O 0.1812 0.6382 0.0351 1
O7 O 0.1964 0.6702 0.5282 1
O8 O 0.3311 0.3311 0.7067 1
O9 O 0.3329 0.8330 0.1813 1
O10 O 0.3348 0.3348 0.1971 1
O11 O 0.3423 0.8299 0.7223 1
O12 O 0.4699 0.0574 0.8594 1
O13 O 0.4733 0.4733 0.8599 1
O14 O 0.4770 0.9945 0.3769 1
O15 O 0.5048 0.5048 0.3787 1
O16 O 0.6382 0.1812 0.0351 1
O17 O 0.6556 0.6556 0.5272 1
O18 O 0.6656 0.6656 0.0574 1
O19 O 0.6702 0.1964 0.5282 1
O20 O 0.8260 0.8260 0.7214 1
O21 O 0.8299 0.3423 0.7223 1
O22 O 0.8330 0.3329 0.1813 1
O23 O 0.8367 0.8367 0.1820 1
O24 O 0.9945 0.4770 0.3769 1
```

Calculated values
For the size of the total moment, the calculation gives 0.03 μB per formula unit.

In terms of stability, #P leads; the second structure lies 7 meV per atom higher.

#P
Compound: ZnSn2O4
Source: the Materials Project
Functional: PBE
Structure: relaxed

CIF file:
```
data_ZnSn2O4
_chemical_formula_sum 'Zn2 Sn4 O8'
_symmetry_space_group_name_H-M 'P 1'
_symmetry_Int_Tables_number 1
_symmetry_space_group_name_Hall 'P 1'
_cell_length_a 6.5770
_cell_length_b 6.5770
_cell_length_c 6.5770
_cell_angle_alpha 60.00
_cell_angle_beta 60.00
_cell_angle_gamma 60.00
loop_
_atom_site_label
_atom_site_type_symbol
_atom_site_fract_x
_atom_site_fract_y
_atom_site_fract_z
_atom_site_occupancy
Zn1 Zn 0.1250 0.1250 0.1250 1
Zn2 Zn 0.8750 0.8750 0.8750 1
Sn1 Sn 0.0000 0.5000 0.5000 1
Sn2 Sn 0.5000 0.0000 0.5000 1
Sn3 Sn 0.5000 0.5000 0.0000 1
Sn4 Sn 0.5000 0.5000 0.5000 1
O1 O 0.2547 0.2547 0.2547 1
O2 O 0.2547 0.2547 0.7360 1
O3 O 0.2547 0.7360 0.2547 1
O4 O 0.2640 0.7453 0.7453 1
O5 O 0.7360 0.2547 0.2547 1
O6 O 0.7453 0.2640 0.7453 1
O7 O 0.7453 0.7453 0.2640 1
O8 O 0.7453 0.7453 0.7453 1
```

Calculated values
For the size of the total moment, the calculation gives 0.01 μB per formula unit.

#Q
Compound: ZnSn2O4
Source: the Materials Project
Functional: PBE
Structure: relaxed

CIF file:
```
data_ZnSn2O4
_chemical_formula_sum 'Zn4 Sn8 O16'
_symmetry_space_group_name_H-M 'P 1'
_symmetry_Int_Tables_number 1
_symmetry_space_group_name_Hall 'P 1'
_cell_length_a 6.2231
_cell_length_b 6.9993
_cell_length_c 12.3783
_cell_angle_alpha 90.00
_cell_angle_beta 115.20
_cell_angle_gamma 90.00
loop_
_atom_site_label
_atom_site_type_symbol
_atom_site_fract_x
_atom_site_fract_y
_atom_site_fract_z
_atom_site_occupancy
Zn1 Zn 0.0000 0.0520 0.2500 1
Zn2 Zn 0.0000 0.9480 0.7500 1
Zn3 Zn 0.5000 0.2402 0.2500 1
Zn4 Zn 0.5000 0.7598 0.7500 1
Sn1 Sn 0.0000 0.0000 0.0000 1
Sn2 Sn 0.0000 0.0000 0.5000 1
Sn3 Sn 0.1973 0.4028 0.4474 1
Sn4 Sn 0.1973 0.5972 0.9474 1
Sn5 Sn 0.5000 0.0000 0.0000 1
Sn6 Sn 0.5000 0.0000 0.5000 1
Sn7 Sn 0.8027 0.4028 0.0526 1
Sn8 Sn 0.8027 0.5972 0.5526 1
O1 O 0.1139 0.2128 0.1372 1
O2 O 0.1139 0.7872 0.6372 1
O3 O 0.1630 0.1142 0.8977 1
O4 O 0.1630 0.8858 0.3977 1
O5 O 0.3128 0.1662 0.5749 1
O6 O 0.3128 0.8338 0.0749 1
O7 O 0.4039 0.2330 0.3787 1
O8 O 0.4039 0.7670 0.8787 1
O9 O 0.5961 0.2330 0.1213 1
O10 O 0.5961 0.7670 0.6213 1
O11 O 0.6872 0.1662 0.9251 1
O12 O 0.6872 0.8338 0.4251 1
O13 O 0.8370 0.1142 0.6023 1
O14 O 0.8370 0.8858 0.1023 1
O15 O 0.8861 0.2128 0.3628 1
O16 O 0.8861 0.7872 0.8628 1
```

Calculated values
For the size of the total moment, the calculation gives 0.00 μB per formula unit.

In terms of stability, #Q leads; the second structure lies 159 meV per atom higher.

#P
Compound: NaBO7
Source: the Materials Project
Functional: PBE
Structure: relaxed

CIF file:
```
data_NaBO7
_chemical_formula_sum 'Na2 B2 O14'
_symmetry_space_group_name_H-M 'P 1'
_symmetry_Int_Tables_number 1
_symmetry_space_group_name_Hall 'P 1'
_cell_length_a 5.7080
_cell_length_b 6.0615
_cell_length_c 7.8791
_cell_angle_alpha 100.86
_cell_angle_beta 101.94
_cell_angle_gamma 100.12
loop_
_atom_site_label
_atom_site_type_symbol
_atom_site_fract_x
_atom_site_fract_y
_atom_site_fract_z
_atom_site_occupancy
Na1 Na 0.0000 0.0000 0.0000 1
Na2 Na 0.5000 0.5000 0.5000 1
B1 B 0.1118 0.4265 0.7910 1
B2 B 0.8882 0.5735 0.2090 1
O1 O 0.0462 0.9420 0.7102 1
O2 O 0.1474 0.5846 0.2391 1
O3 O 0.2121 0.4234 0.6554 1
O4 O 0.2280 0.8966 0.6415 1
O5 O 0.2439 0.6424 0.0914 1
O6 O 0.2466 0.4278 0.9679 1
O7 O 0.3907 0.8161 0.7374 1
O8 O 0.6093 0.1839 0.2626 1
O9 O 0.7534 0.5722 0.0321 1
O10 O 0.7561 0.3576 0.9086 1
O11 O 0.7720 0.1034 0.3585 1
O12 O 0.7879 0.5766 0.3446 1
O13 O 0.8526 0.4154 0.7609 1
O14 O 0.9538 0.0580 0.2898 1
```

Calculated values
For the size of the total moment, the calculation gives 0.00 μB per formula unit.

#Q
Compound: NaBO7
Source: the Materials Project
Functional: PBE
Structure: relaxed

CIF file:
```
data_NaBO7
_chemical_formula_sum 'Na2 B2 O14'
_symmetry_space_group_name_H-M 'P 1'
_symmetry_Int_Tables_number 1
_symmetry_space_group_name_Hall 'P 1'
_cell_length_a 6.7063
_cell_length_b 7.1410
_cell_length_c 7.4850
_cell_angle_alpha 101.18
_cell_angle_beta 107.34
_cell_angle_gamma 115.49
loop_
_atom_site_label
_atom_site_type_symbol
_atom_site_fract_x
_atom_site_fract_y
_atom_site_fract_z
_atom_site_occupancy
Na1 Na 0.0000 0.0000 0.0000 1
Na2 Na 0.0000 0.0000 0.5000 1
B1 B 0.4148 0.4118 0.2818 1
B2 B 0.5852 0.5882 0.7182 1
O1 O 0.1710 0.6552 0.3799 1
O2 O 0.1882 0.8234 0.3483 1
O3 O 0.2436 0.7033 0.9732 1
O4 O 0.2698 0.7926 0.8495 1
O5 O 0.2888 0.2814 0.3784 1
O6 O 0.3222 0.3168 0.0863 1
O7 O 0.3740 0.3716 0.6083 1
O8 O 0.6260 0.6284 0.3917 1
O9 O 0.6778 0.6832 0.9137 1
O10 O 0.7112 0.7186 0.6216 1
O11 O 0.7302 0.2074 0.1505 1
O12 O 0.7564 0.2967 0.0268 1
O13 O 0.8118 0.1766 0.6517 1
O14 O 0.8290 0.3448 0.6201 1
```

Calculated values
For the size of the total moment, the calculation gives 4.00 μB per formula unit.

In terms of stability, #Q leads; the second structure lies 285 meV per atom higher.